1.
# ThCd2 (PBE-GGA, relaxed)
data_ThCd2
_chemical_formula_sum 'Th1 Cd2'
_cell_length_a 5.1501
_cell_length_b 5.1501
_cell_length_c 3.3780
_cell_angle_alpha 90.00
_cell_angle_beta 90.00
_cell_angle_gamma 120.00
_space_group_name_H-M_alt 'P 6/m m m'
_space_group_IT_number 191
_space_group_name_Hall '-P 6 2'
loop_
_atom_site_label
_atom_site_type_symbol
_atom_site_fract_x
_atom_site_fract_y
_atom_site_fract_z
Th1 Th 0.0000 0.0000 0.0000
Cd1 Cd 0.3333 0.6667 0.5000
# Mass density: 9.78 g cm⁻³
# VASP energy: -9.800 eV per cell

2.
# Li3SbO3 (PBE-GGA, relaxed)
data_Li3SbO3
_chemical_formula_sum 'Li12 Sb4 O12'
_cell_length_a 7.163
_cell_length_b 7.163
_cell_length_c 7.163
_cell_angle_alpha 90.00
_cell_angle_beta 90.00
_cell_angle_gamma 90.00
_space_group_name_H-M_alt 'P 21 3'
_space_group_IT_number 198
_space_group_name_Hall 'P 2ac 2ab 3'
loop_
_atom_site_label
_atom_site_type_symbol
_atom_site_fract_x
_atom_site_fract_y
_atom_site_fract_z
Li1 Li 0.031 0.469 0.531
Li2 Li 0.239 0.761 0.261
Li3 Li 0.241 0.741 0.759
Sb1 Sb 0.023 0.977 0.477
O1 O 0.006 0.741 0.099
# Energy relative to the lowest polymorph listed for this composition: 86 meV/atom
# Mass density: 3.44 g cm⁻³
# VASP energy: -145.911 eV per cell

3.
# AgH18C4S4BrN8O (PBE-GGA, relaxed)
data_AgH18C4S4BrN8O
_chemical_formula_sum 'Ag4 H72 C16 S16 Br4 N32 O4'
_cell_length_a 6.539
_cell_length_b 11.659
_cell_length_c 25.557
_cell_angle_alpha 90.00
_cell_angle_beta 96.68
_cell_angle_gamma 90.00
_space_group_name_H-M_alt 'P 1 21/c 1'
_space_group_IT_number 14
_space_group_name_Hall '-P 2ybc'
loop_
_atom_site_label
_atom_site_type_symbol
_atom_site_fract_x
_atom_site_fract_y
_atom_site_fract_z
Ag1 Ag 0.121 0.120 0.491
H1 H 0.080 0.081 0.754
H2 H 0.098 0.030 0.862
H3 H 0.145 0.565 0.620
H4 H 0.170 0.563 0.729
H5 H 0.204 0.183 0.056
H6 H 0.205 0.719 0.898
H7 H 0.215 0.067 0.345
H8 H 0.234 0.123 0.663
H9 H 0.237 0.676 0.080
H10 H 0.243 0.130 0.292
H11 H 0.314 0.668 0.366
H12 H 0.335 0.658 0.267
H13 H 0.351 0.118 0.110
H14 H 0.375 0.175 0.968
H15 H 0.387 0.093 0.911
H16 H 0.395 0.714 0.736
H17 H 0.437 0.022 0.676
H18 H 0.440 0.639 0.130
C1 C 0.098 0.120 0.932
C2 C 0.105 0.722 0.760
C3 C 0.209 0.522 0.117
C4 C 0.498 0.244 0.074
S1 S 0.022 0.522 0.917
S2 S 0.057 0.680 0.526
S3 S 0.073 0.198 0.213
S4 S 0.494 0.155 0.525
Br1 Br 0.487 0.024 0.822
N1 N 0.011 0.063 0.889
N2 N 0.063 0.613 0.744
N3 N 0.292 0.737 0.253
N4 N 0.298 0.046 0.656
N5 N 0.302 0.620 0.108
N6 N 0.303 0.124 0.939
N7 N 0.326 0.727 0.395
N8 N 0.335 0.180 0.082
O1 O 0.320 0.095 0.324
# Mass density: 1.75 g cm⁻³
# VASP energy: -808.542 eV per cell

4.
# LiEr2Rh (PBE-GGA, relaxed)
data_LiEr2Rh
_chemical_formula_sum 'Li4 Er8 Rh4'
_cell_length_a 6.923
_cell_length_b 6.923
_cell_length_c 6.923
_cell_angle_alpha 90.00
_cell_angle_beta 90.00
_cell_angle_gamma 90.00
_space_group_name_H-M_alt 'F m -3 m'
_space_group_IT_number 225
_space_group_name_Hall '-F 4 2 3'
loop_
_atom_site_label
_atom_site_type_symbol
_atom_site_fract_x
_atom_site_fract_y
_atom_site_fract_z
Li1 Li 0.000 0.000 0.000
Er1 Er 0.250 0.250 0.250
Rh1 Rh 0.000 0.000 0.500
# Mass density: 8.89 g cm⁻³
# VASP energy: -81.925 eV per cell

5.
# HfOs3 (PBE-GGA, relaxed)
data_HfOs3
_chemical_formula_sum 'Hf1 Os3'
_cell_length_a 3.974
_cell_length_b 3.974
_cell_length_c 3.974
_cell_angle_alpha 90.00
_cell_angle_beta 90.00
_cell_angle_gamma 90.00
_space_group_name_H-M_alt 'P m -3 m'
_space_group_IT_number 221
_space_group_name_Hall '-P 4 2 3'
loop_
_atom_site_label
_atom_site_type_symbol
_atom_site_fract_x
_atom_site_fract_y
_atom_site_fract_z
Hf1 Hf 0.000 0.000 0.000
Os1 Os 0.000 0.500 0.500
# Mass density: 19.83 g cm⁻³
# VASP energy: -44.021 eV per cell

6.
# PrN2 (PBE-GGA, relaxed)
data_PrN2
_chemical_formula_sum 'Pr6 N12'
_cell_length_a 12.397
_cell_length_b 4.991
_cell_length_c 6.257
_cell_angle_alpha 90.00
_cell_angle_beta 116.42
_cell_angle_gamma 90.00
_space_group_name_H-M_alt 'C 1 m 1'
_space_group_IT_number 8
_space_group_name_Hall 'C -2y'
loop_
_atom_site_label
_atom_site_type_symbol
_atom_site_fract_x
_atom_site_fract_y
_atom_site_fract_z
Pr1 Pr 0.000 0.000 0.000
Pr2 Pr 0.093 0.500 0.646
Pr3 Pr 0.316 0.500 0.402
N1 N 0.023 0.000 0.658
N2 N 0.059 0.500 0.211
N3 N 0.072 0.500 0.024
N4 N 0.249 0.000 0.280
N5 N 0.297 0.500 0.745
N6 N 0.356 0.000 0.357
# Mass density: 4.85 g cm⁻³
# VASP energy: -138.350 eV per cell

7.
# Cs5In3As4 (PBE-GGA, relaxed)
data_Cs5In3As4
_chemical_formula_sum 'Cs40 In24 As32'
_cell_length_a 17.353
_cell_length_b 12.551
_cell_length_c 18.568
_cell_angle_alpha 90.00
_cell_angle_beta 117.23
_cell_angle_gamma 90.00
_space_group_name_H-M_alt 'P 1 21/c 1'
_space_group_IT_number 14
_space_group_name_Hall '-P 2ybc'
loop_
_atom_site_label
_atom_site_type_symbol
_atom_site_fract_x
_atom_site_fract_y
_atom_site_fract_z
Cs1 Cs 0.059 0.135 0.137
Cs2 Cs 0.142 0.103 0.965
Cs3 Cs 0.147 0.645 0.963
Cs4 Cs 0.249 0.587 0.811
Cs5 Cs 0.251 0.162 0.813
Cs6 Cs 0.263 0.625 0.213
Cs7 Cs 0.284 0.135 0.595
Cs8 Cs 0.292 0.618 0.606
Cs9 Cs 0.401 0.628 0.461
Cs10 Cs 0.420 0.124 0.466
In1 In 0.005 0.123 0.448
In2 In 0.024 0.022 0.725
In3 In 0.032 0.735 0.721
In4 In 0.415 0.125 0.104
In5 In 0.493 0.246 0.800
In6 In 0.496 0.506 0.799
As1 As 0.079 0.686 0.600
As2 As 0.090 0.062 0.610
As3 As 0.109 0.127 0.368
As4 As 0.140 0.619 0.336
As5 As 0.349 0.123 0.228
As6 As 0.394 0.623 0.078
As7 As 0.455 0.709 0.820
As8 As 0.456 0.042 0.823
# Mass density: 4.83 g cm⁻³
# VASP energy: -291.153 eV per cell

8.
# Na3LaP2O8 (PBE-GGA, relaxed)
data_Na3LaP2O8
_chemical_formula_sum 'Na24 La8 P16 O64'
_cell_length_a 14.172
_cell_length_b 5.430
_cell_length_c 19.009
_cell_angle_alpha 90.00
_cell_angle_beta 90.00
_cell_angle_gamma 90.00
_space_group_name_H-M_alt 'P c a 21'
_space_group_IT_number 29
_space_group_name_Hall 'P 2c -2ac'
loop_
_atom_site_label
_atom_site_type_symbol
_atom_site_fract_x
_atom_site_fract_y
_atom_site_fract_z
Na1 Na 0.033 0.039 0.106
Na2 Na 0.048 0.488 0.346
Na3 Na 0.116 0.997 0.443
Na4 Na 0.138 0.490 0.165
Na5 Na 0.203 0.975 0.262
Na6 Na 0.217 0.518 0.500
La1 La 0.114 0.431 0.691
La2 La 0.135 0.055 0.919
P1 P 0.020 0.974 0.770
P2 P 0.025 0.531 0.013
P3 P 0.227 0.960 0.597
P4 P 0.230 0.515 0.841
O1 O 0.003 0.492 0.093
O2 O 0.009 0.273 0.234
O3 O 0.013 0.030 0.348
O4 O 0.030 0.809 0.231
O5 O 0.032 0.814 0.997
O6 O 0.053 0.588 0.467
O7 O 0.122 0.405 0.998
O8 O 0.122 0.467 0.843
O9 O 0.128 0.015 0.768
O10 O 0.130 0.090 0.610
O11 O 0.196 0.084 0.142
O12 O 0.218 0.680 0.617
O13 O 0.219 0.306 0.382
O14 O 0.238 0.511 0.262
O15 O 0.243 0.767 0.374
O16 O 0.249 0.972 0.516
# Mass density: 3.61 g cm⁻³
# VASP energy: -761.929 eV per cell